Compound: NaLi2MnPCO7
Source: the Materials Project database
Functional: PBE+U
Structure: optimized geometry

POSCAR file:
```
NaLi2MnPCO7
1.0
0.095 -0.028 5.105
17.500 1.098 0.376
0.426 6.770 -0.043
Na Li Mn P C O
4 8 4 4 4 28
direct
0.250 0.119 0.525
0.250 0.619 0.525
0.750 0.381 0.475
0.750 0.881 0.475
0.732 0.045 0.179
0.732 0.545 0.179
0.268 0.455 0.821
0.268 0.955 0.821
0.227 0.147 0.068
0.227 0.647 0.068
0.773 0.353 0.932
0.773 0.853 0.932
0.779 0.677 0.772
0.222 0.824 0.228
0.779 0.176 0.772
0.220 0.323 0.228
0.719 0.208 0.254
0.719 0.708 0.254
0.281 0.292 0.746
0.281 0.792 0.746
0.733 0.017 0.768
0.733 0.517 0.768
0.267 0.483 0.232
0.267 0.983 0.232
0.350 0.051 0.246
0.350 0.551 0.246
0.650 0.449 0.754
0.650 0.949 0.754
0.979 0.032 0.764
0.979 0.532 0.764
0.021 0.468 0.236
0.021 0.968 0.236
0.558 0.072 0.790
0.558 0.572 0.790
0.442 0.428 0.210
0.442 0.928 0.210
0.827 0.155 0.100
0.827 0.655 0.100
0.173 0.345 0.900
0.173 0.845 0.900
0.811 0.170 0.461
0.811 0.670 0.461
0.189 0.330 0.539
0.189 0.830 0.539
0.413 0.213 0.239
0.413 0.713 0.239
0.587 0.287 0.761
0.587 0.787 0.761
0.183 0.209 0.792
0.183 0.709 0.792
0.817 0.291 0.208
0.817 0.791 0.208
```

Excess energy over the best structure of this formula in the dataset   0.000 eV per atom
Theoretical density   2.7 g/cm³
Final energy   -6.802 eV/atom